VASP calculation (PBE+U) on MgMn6P6O24 after structural relaxation.

Results
Magnetization = 0.703 μB per atom
Energy of formation = -56.633 kcal/mol of atoms
Final energy = -272.173 eV/cell

```
data_MgMn6P6O24
_chemical_formula_sum 'Mg1 Mn6 P6 O24'
_cell_length_a 8.715
_cell_length_b 8.820
_cell_length_c 8.979
_cell_angle_alpha 106.37
_cell_angle_beta 105.70
_cell_angle_gamma 110.95
_symmetry_space_group_name_H-M 'P 1'
_symmetry_Int_Tables_number 1
_symmetry_space_group_name_Hall 'P 1'
loop_
_atom_site_label
_atom_site_type_symbol
_atom_site_fract_x
_atom_site_fract_y
_atom_site_fract_z
Mg1 Mg 0.000 0.000 0.000
Mn1 Mn 0.075 0.793 0.622
Mn2 Mn 0.165 0.706 0.121
Mn3 Mn 0.402 0.307 0.372
Mn4 Mn 0.568 0.514 0.944
Mn5 Mn 0.632 0.004 0.820
Mn6 Mn 0.889 0.165 0.438
P1 P 0.013 0.324 0.191
P2 P 0.199 0.541 0.754
P3 P 0.380 0.135 0.990
P4 P 0.518 0.034 0.482
P5 P 0.695 0.642 0.683
P6 P 0.905 0.830 0.252
O1 O 0.022 0.863 0.147
O2 O 0.023 0.886 0.439
O3 O 0.083 0.508 0.197
O4 O 0.094 0.334 0.643
O5 O 0.118 0.593 0.878
O6 O 0.163 0.259 0.226
O7 O 0.174 0.998 0.890
O8 O 0.202 0.646 0.644
O9 O 0.397 0.585 0.855
O10 O 0.411 0.893 0.300
O11 O 0.413 0.297 0.946
O12 O 0.437 0.188 0.183
O13 O 0.458 0.961 0.608
O14 O 0.487 0.203 0.511
O15 O 0.493 0.044 0.944
O16 O 0.499 0.544 0.545
O17 O 0.711 0.565 0.820
O18 O 0.724 0.094 0.544
O19 O 0.750 0.845 0.785
O20 O 0.764 0.629 0.167
O21 O 0.806 0.947 0.241
O22 O 0.827 0.631 0.606
O23 O 0.882 0.171 0.006
O24 O 0.924 0.311 0.316
```